DFT (PBE) results for AlH4NF4 after structural relaxation.

Unit cell a=5.1148 b=5.1148 c=12.9260 alpha=90.00 beta=90.00 gamma=90.00
Last column: nearest neighbours and their distance in Å.
Space group P4_2/mbc (No. 135)
Asymmetric unit:
1 Al 0.0000 0.5000 0.0000 (multiplicity 4)  6 F 1.81-1.84
2 H 0.0015 0.1655 0.2036 (multiplicity 16)  1 N 1.04
3 N 0.0000 0.0000 0.2500 (multiplicity 4)  4 H 1.04
4 F 0.0000 0.5000 0.1398 (multiplicity 8)  1 Al 1.81, 2 H 1.90
5 F 0.2030 0.2027 0.0000 (multiplicity 8)  2 Al 1.84

Summary:
Energy relative to the elements = -208.6 kJ per mole of atoms
Raw total energy = -212.3 eV/cell
Energy with MP2020 corrections = -5.493 eV per atom
Magnetization = 0.000 μB/atom
Relative energy among the computed polymorphs = 0 meV/atom

=====

DFT (PBE) results for U after structural relaxation.

Unit cell a=8.3212 b=7.1228 c=5.5866 alpha=90.00 beta=130.85 gamma=90.00
Last column: nearest neighbours and their distance in Å.
Space group C2/c (No. 15)
Asymmetric unit:
1 U 0.0000 0.1788 0.2500 (multiplicity 4)  4 U 2.63-2.88
2 U 0.2218 0.4174 0.8701 (multiplicity 8)  3 U 2.63-2.88

Summary:
Energy relative to the elements = 27.2 kJ per mole of atoms
Raw total energy = -132.1 eV/cell
Magnetization = 0.132 μB/atom
Relative energy among the computed polymorphs = 281 meV/atom

=====

DFT (PBE) results for Mg16Al12Ga after structural relaxation.

Unit cell a=10.5046 b=14.8875 c=9.0422 alpha=90.00 beta=124.83 gamma=90.00
Last column: nearest neighbours and their distance in Å.
Space group Cm (No. 8)
Asymmetric unit:
1 Mg 0.0000 0.0000 0.0000 (multiplicity 2)  4 Mg 3.14-3.18, 12 Al 3.17-3.22
2 Mg 0.0042 0.0000 0.3499 (multiplicity 2)  4 Mg 3.03-3.14, 6 Al 3.07-3.13, 1 Ga 3.37
3 Mg 0.0592 0.3437 0.4023 (multiplicity 4)  5 Al 2.90-3.18, 7 Mg 3.06-3.18
4 Mg 0.1483 0.5000 0.6648 (multiplicity 2)  1 Ga 2.99, 6 Al 3.04-3.22, 3 Mg 3.06-3.17
5 Mg 0.1606 0.1581 0.6027 (multiplicity 4)  5 Al 2.89-3.14, 6 Mg 3.03-3.21, 1 Ga 3.06
6 Mg 0.1751 0.1740 0.9986 (multiplicity 4)  4 Mg 3.04-3.18, 6 Al 3.08-3.11
7 Mg 0.1891 0.5000 0.2920 (multiplicity 2)  5 Al 2.92-3.14, 7 Mg 3.04-3.18
8 Mg 0.3028 0.2986 0.3201 (multiplicity 4)  5 Al 2.90-3.13, 7 Mg 3.04-3.20
9 Mg 0.4620 0.1380 0.9998 (multiplicity 4)  5 Al 2.88-3.15, 6 Mg 3.05-3.20, 1 Ga 3.12
10 Mg 0.4884 0.1945 0.6888 (multiplicity 4)  4 Al 2.89-3.18, 6 Mg 3.04-3.21, 1 Ga 3.13
11 Al 0.0067 0.1851 0.1885 (multiplicity 4)  3 Al 2.69-2.75, 2 Mg 2.90-3.00
12 Al 0.1857 0.0000 0.8155 (multiplicity 2)  3 Al 2.71-2.74, 1 Ga 2.80, 2 Mg 2.95
13 Al 0.2326 0.4087 0.0100 (multiplicity 4)  3 Al 2.72-2.75, 4 Mg 2.88-3.04
14 Al 0.2755 0.0928 0.3672 (multiplicity 4)  3 Al 2.69-2.76, 1 Ga 2.88, 2 Mg 2.89-2.97
15 Al 0.3209 0.3150 0.8198 (multiplicity 4)  3 Al 2.70-2.75, 3 Mg 2.89-3.01
16 Al 0.3673 0.0000 0.1802 (multiplicity 2)  3 Al 2.71-2.75, 3 Mg 2.92-2.98
17 Al 0.4106 0.4074 0.6372 (multiplicity 4)  3 Al 2.70-2.76, 3 Mg 2.90-2.98
18 Ga 0.3813 0.0000 0.6981 (multiplicity 2)  3 Al 2.80-2.88, 7 Mg 2.99-3.13

Summary:
Energy relative to the elements = -2.9 kJ per mole of atoms
Raw total energy = -148.9 eV/cell
Magnetization = 0.000 μB/atom
Relative energy among the computed polymorphs = 0 meV/atom

=====

DFT (PBE) results for BaReH9 after structural relaxation.

Unit cell a=7.1699 b=7.1699 c=7.4832 alpha=90.00 beta=90.00 gamma=120.00
Last column: nearest neighbours and their distance in Å.
Space group P3 (No. 143)
Asymmetric unit:
1 Ba 0.0000 0.0000 0.0000 (multiplicity 1)  9 H 2.74-3.00
2 Ba 0.3333 0.6667 0.3002 (multiplicity 1)  6 H 2.70-2.93
3 Ba 0.6667 0.3333 0.6720 (multiplicity 1)  18 H 2.76-3.06
4 Re 0.0000 0.0000 0.5089 (multiplicity 1)  9 H 1.67-1.72
5 Re 0.3333 0.6667 0.7857 (multiplicity 1)  9 H 1.68-1.72
6 Re 0.6667 0.3333 0.1803 (multiplicity 1)  9 H 1.69-1.72
7 H 0.0244 0.8418 0.3480 (multiplicity 3)  1 Re 1.72, 1 H 1.81
8 H 0.1088 0.4242 0.7845 (multiplicity 3)  1 Re 1.68, 2 H 1.84-1.86
9 H 0.1511 0.6355 0.6232 (multiplicity 3)  1 Re 1.72, 1 H 1.84
10 H 0.1612 0.6674 0.9453 (multiplicity 3)  1 Re 1.72, 1 H 1.86
11 H 0.1803 0.1552 0.6723 (multiplicity 3)  1 Re 1.72, 1 H 1.82
12 H 0.2366 0.0066 0.5043 (multiplicity 3)  1 Re 1.67, 2 H 1.81-1.82
13 H 0.4171 0.1153 0.1818 (multiplicity 3)  1 Re 1.69, 1 H 1.88
14 H 0.5037 0.3473 0.0201 (multiplicity 3)  1 Re 1.71, 1 H 1.89
15 H 0.5148 0.3655 0.3413 (multiplicity 3)  1 Re 1.72, 1 H 1.88

Summary:
Energy relative to the elements = -33.5 kJ per mole of atoms
Raw total energy = -141.3 eV/cell
Energy with MP2020 corrections = -4.428 eV per atom
Magnetization = 0.000 μB/atom
Relative energy among the computed polymorphs = 74 meV/atom